[1]
DFT (PBE with a Hubbard U) results for an optimized crystal structure of Nd2Mo2O7.

Calculated values
- energy above the lowest structure with this stoichiometry (meV/atom) = 46
- total energy after the MP2020 corrections (Ry/atom) = -0.6501
- mass density (g/cm3) = 6.6
- E_form (eV/f.u.) = -31.43

Cell lengths 7.5096, 7.5096, 7.5096 Å; angles 60.00, 60.00, 60.00 degrees
Last column: nearest neighbours and their distance in Å.
Positions (direct):
Nd 0.6250 0.1250 0.1250  2 O 2.30
Nd 0.1250 0.6250 0.1250  2 O 2.30
Nd 0.1250 0.1250 0.6250  2 O 2.30
Nd 0.1250 0.1250 0.1250  2 O 2.30
Mo 0.1250 0.6250 0.6250  6 O 2.08
Mo 0.6250 0.1250 0.6250  6 O 2.08
Mo 0.6250 0.6250 0.1250  6 O 2.08
Mo 0.6250 0.6250 0.6250  6 O 2.08
O 0.7083 0.7083 0.2917  2 Mo 2.08
O 0.2917 0.2917 0.7083  2 Mo 2.08
O 0.7083 0.2917 0.7083  2 Mo 2.08
O 0.2917 0.7083 0.2917  2 Mo 2.08
O 0.2917 0.7083 0.7083  2 Mo 2.08
O 0.7083 0.2917 0.2917  2 Mo 2.08
O 0.5417 0.5417 0.9583  2 Mo 2.08
O 0.9583 0.9583 0.5417  2 Mo 2.08
O 0.5417 0.9583 0.5417  2 Mo 2.08
O 0.9583 0.5417 0.9583  2 Mo 2.08
O 0.9583 0.5417 0.5417  2 Mo 2.08
O 0.5417 0.9583 0.9583  2 Mo 2.08
O 0.2500 0.2500 0.2500  4 Nd 2.30
O 0.0000 0.0000 0.0000  4 Nd 2.30

[2]
DFT (PBE with a Hubbard U) results for an optimized crystal structure of Li2Fe3WO8.

Calculated values
- energy above the lowest structure with this stoichiometry (meV/atom) = 28
- total energy after the MP2020 corrections (Ry/atom) = -0.5718
- mass density (g/cm3) = 5.6
- E_form (eV/f.u.) = -27.14

Cell lengths 5.9330, 5.9330, 9.6111 Å; angles 89.07, 89.07, 119.71 degrees
Last column: nearest neighbours and their distance in Å.
Positions (direct):
Li 0.6730 0.3402 0.9057  4 O 1.97-2.04
Li 0.9928 0.9924 0.9905  4 O 1.83-2.02
Li 0.9924 0.9928 0.4905  4 O 1.83-2.02
Li 0.3402 0.6730 0.4057  4 O 1.97-2.04
Fe 0.3364 0.1679 0.2146  5 O 1.99-2.21
Fe 0.8269 0.6586 0.2149  5 O 1.90-2.06
Fe 0.8256 0.1688 0.2143  6 O 1.90-2.11
Fe 0.1688 0.8256 0.7143  6 O 1.90-2.11
Fe 0.1679 0.3364 0.7146  5 O 1.99-2.21
Fe 0.6586 0.8269 0.7149  5 O 1.90-2.06
W 0.6698 0.3311 0.4876  6 O 1.90-2.03
W 0.3311 0.6698 0.9876  6 O 1.90-2.03
O 0.3403 0.1531 0.5815  1 W 1.90, 1 Li 2.02, 1 Fe 2.09
O 0.5394 0.4986 0.3535  1 Fe 1.97, 1 Li 1.98, 1 W 2.00
O 0.6844 0.3470 0.1140  3 Fe 1.90-2.01, 1 Li 2.00
O 0.9802 0.9881 0.3001  1 Li 1.83, 3 Fe 1.91-1.99
O 0.9881 0.9802 0.8001  1 Li 1.83, 3 Fe 1.91-1.99
O 0.8318 0.6481 0.5945  1 W 1.95, 1 Li 2.02, 2 Fe 2.11-2.15
O 0.5421 0.0427 0.3502  2 Fe 1.93-2.16, 1 Li 1.97, 1 W 2.02
O 0.9652 0.4787 0.3427  1 W 2.03, 1 Li 2.04, 2 Fe 2.04-2.05
O 0.1584 0.8179 0.0897  1 W 1.92, 1 Li 1.99, 1 Fe 2.06
O 0.8179 0.1584 0.5897  1 W 1.92, 1 Li 1.99, 1 Fe 2.06
O 0.0427 0.5421 0.8502  2 Fe 1.93-2.16, 1 Li 1.97, 1 W 2.02
O 0.4787 0.9652 0.8427  1 W 2.03, 1 Li 2.04, 2 Fe 2.04-2.05
O 0.3470 0.6844 0.6140  3 Fe 1.90-2.01, 1 Li 2.00
O 0.1531 0.3403 0.0815  1 W 1.90, 1 Li 2.02, 1 Fe 2.09
O 0.4986 0.5394 0.8535  1 Fe 1.97, 1 Li 1.98, 1 W 2.00
O 0.6481 0.8318 0.0945  1 W 1.95, 1 Li 2.02, 2 Fe 2.11-2.15

[3]
DFT (PBE with a Hubbard U) results for an optimized crystal structure of Li4Co5SnO12.

Calculated values
- energy above the lowest structure with this stoichiometry (meV/atom) = 60
- total energy after the MP2020 corrections (Ry/atom) = -0.4748
- mass density (g/cm3) = 4.8
- E_form (eV/f.u.) = -35.57

Cell lengths 5.0557, 10.9541, 8.8313 Å; angles 65.30, 89.25, 84.06 degrees
Last column: nearest neighbours and their distance in Å.
Positions (direct):
Li 0.0538 0.7477 0.4618  5 O 2.12-2.20
Li 0.5440 0.7453 0.9636  6 O 2.06-2.23
Li 0.4468 0.2521 0.7060  6 O 2.10-2.28
Li 0.9515 0.2538 0.2110  6 O 2.07-2.26
Li 0.5484 0.7462 0.2890  6 O 2.07-2.26
Li 0.0532 0.7479 0.7940  6 O 2.10-2.28
Li 0.9561 0.2547 0.5364  6 O 2.06-2.23
Li 0.4461 0.2523 0.0381  5 O 2.12-2.20
Co 0.2497 0.5001 0.4120  6 O 1.95-2.07
Co 0.7479 0.5042 0.9178  6 O 1.97-2.13
Co 0.7522 0.4958 0.5822  6 O 1.97-2.13
Co 0.2503 0.4999 0.0880  6 O 1.95-2.07
Co 0.4999 0.9999 0.1669  6 O 1.94-1.95
Co 0.9997 0.0003 0.6666  6 O 1.94-1.95
Co 0.5004 0.9997 0.8334  6 O 1.94-1.95
Co 0.0001 0.0001 0.3331  6 O 1.94-1.95
Co 0.7500 0.5000 0.2500  6 O 1.89-1.91
Co 0.2500 0.5000 0.7500  4 O 1.82-1.95
Sn 0.9993 0.0000 0.0000  6 O 2.09-2.10
Sn 0.5007 0.9999 0.5000  6 O 2.09-2.10
O 0.9333 0.6060 0.6949  1 Co 1.82
O 0.4157 0.6047 0.2040  3 Co 1.89-2.07
O 0.5667 0.3940 0.8051  1 Co 1.82
O 0.0843 0.3953 0.2960  3 Co 1.89-2.07
O 0.3341 0.1064 0.9458  2 Co 1.95, 1 Sn 2.09, 1 Li 2.17
O 0.8355 0.1064 0.4455  2 Co 1.94-1.95, 1 Sn 2.09, 1 Li 2.15
O 0.6645 0.8936 0.0545  2 Co 1.94-1.95, 1 Sn 2.09, 1 Li 2.15
O 0.1659 0.8936 0.5542  2 Co 1.95, 1 Sn 2.09, 1 Li 2.17
O 0.3003 0.1066 0.6236  2 Co 1.95, 1 Sn 2.09, 1 Li 2.16
O 0.7990 0.1068 0.1237  2 Co 1.94-1.95, 1 Sn 2.09, 1 Li 2.18
O 0.2001 0.8930 0.2327  2 Co 1.94-1.95, 1 Sn 2.10, 2 Li 2.17
O 0.7010 0.8935 0.7323  2 Co 1.94, 1 Sn 2.10
O 0.7990 0.1065 0.7677  2 Co 1.94, 1 Sn 2.10
O 0.2999 0.1069 0.2673  2 Co 1.94-1.95, 1 Sn 2.10, 2 Li 2.17
O 0.7011 0.8932 0.3763  2 Co 1.94-1.95, 1 Sn 2.09, 1 Li 2.18
O 0.1997 0.8934 0.8764  2 Co 1.95, 1 Sn 2.09, 1 Li 2.16
O 0.1030 0.3895 0.6246  3 Co 1.95-2.14, 2 Li 2.10-2.13
O 0.6199 0.3959 0.1451  3 Co 1.91-2.04, 1 Li 2.07
O 0.6206 0.3924 0.4643  3 Co 1.91-2.06, 1 Li 2.06
O 0.1033 0.3960 0.9664  3 Co 1.95-2.05, 1 Li 2.12
O 0.3967 0.6040 0.5336  3 Co 1.95-2.06, 1 Li 2.12
O 0.8795 0.6075 0.0357  3 Co 1.91-2.06, 1 Li 2.06
O 0.8801 0.6041 0.3549  3 Co 1.91-2.04, 1 Li 2.07
O 0.3970 0.6104 0.8754  3 Co 1.95-2.14, 2 Li 2.10-2.13

[4]
DFT (PBE with a Hubbard U) results for an optimized crystal structure of Li4Ti3V2Co3O16.

Calculated values
- total energy after the MP2020 corrections (Ry/atom) = -0.5754
- mass density (g/cm3) = 4.0
- E_form (eV/f.u.) = -69.21

Cell lengths 5.9129, 5.9133, 9.6319 Å; angles 90.21, 90.37, 119.78 degrees
Last column: nearest neighbours and their distance in Å.
Positions (direct):
Li 0.3282 0.6618 0.0957  4 O 1.94-2.01
Li 0.0074 0.0112 0.0139  4 O 1.86-2.06
Li 0.9958 0.9988 0.5059  4 O 1.86-2.03
Li 0.6742 0.3321 0.5965  4 O 1.96-2.01
Ti 0.1690 0.8183 0.7765  4 O 1.85-1.97
Ti 0.6548 0.7995 0.7793  5 O 1.83-2.04
Ti 0.8136 0.6346 0.2639  4 O 1.85-1.92
V 0.3314 0.6636 0.4988  3 O 1.77-1.79
V 0.6501 0.2930 0.0114  3 O 1.78-1.83
Co 0.1749 0.3460 0.7933  6 O 1.95-2.14
Co 0.3379 0.1685 0.2928  6 O 1.97-2.16
Co 0.8250 0.1708 0.2907  5 O 1.96-2.19
O 0.1731 0.8190 0.4153  1 V 1.79
O 0.4835 0.9653 0.6662  2 Ti 1.94-2.04, 1 Li 2.00
O 0.3432 0.6805 0.8940  1 Li 1.95, 2 Ti 1.96, 1 Co 1.96
O 0.0027 0.0082 0.6990  1 Li 1.86, 1 Co 1.95, 2 Ti 1.96-1.97
O 0.9891 0.9870 0.2060  1 Li 1.86, 1 Ti 1.90, 2 Co 1.96-1.97
O 0.6396 0.8165 0.4153  1 V 1.78
O 0.0458 0.5341 0.6575  1 Ti 1.85, 1 Li 1.99
O 0.4963 0.5315 0.6542  1 Ti 1.83, 1 Li 2.01
O 0.8372 0.6719 0.8977  2 Ti 1.96-2.08, 1 Li 2.06
O 0.1718 0.3510 0.4195  1 V 1.77
O 0.5214 0.4903 0.1503  1 Ti 1.85, 1 Li 1.94
O 0.9602 0.4953 0.1434  1 Ti 1.87, 1 Li 1.95, 1 V 2.05
O 0.6771 0.3533 0.3937  1 Ti 1.92, 1 Li 1.96, 2 Co 1.96-1.99
O 0.3510 0.1783 0.9092  1 V 1.83, 1 Li 2.04
O 0.5222 0.0445 0.1409  1 V 1.79
O 0.8231 0.1752 0.9113  1 V 1.78

[5]
DFT (PBE with a Hubbard U) results for an optimized crystal structure of Fe4OF6.

Calculated values
- energy above the lowest structure with this stoichiometry (meV/atom) = 1
- total energy after the MP2020 corrections (Ry/atom) = -0.5081
- mass density (g/cm3) = 4.4
- E_form (eV/f.u.) = -25.73

Cell lengths 5.1784, 7.1390, 7.2073 Å; angles 91.59, 90.29, 89.79 degrees
Last column: nearest neighbours and their distance in Å.
Positions (direct):
Fe 0.4418 0.5086 0.7418  5 F 2.07-2.23, 1 O 2.08
Fe 0.9400 0.7448 0.5103  5 F 2.09-2.25, 1 O 2.10
Fe 0.9667 0.7459 0.0235  1 O 1.99, 3 F 2.02-2.17
Fe 0.4674 0.0243 0.7440  1 O 1.98, 3 F 2.02-2.19
Fe 0.5336 0.9772 0.2548  1 O 1.98, 3 F 2.01-2.22
Fe 0.0605 0.2525 0.4893  5 F 2.09-2.30, 1 O 2.12
Fe 0.0327 0.2550 0.9765  1 O 1.99, 3 F 2.02-2.19
Fe 0.5607 0.4901 0.2542  5 F 2.06-2.30, 1 O 2.09
O 0.2507 0.2539 0.7505  4 Fe 1.98-2.12
O 0.7510 0.7480 0.2516  4 Fe 1.98-2.10
F 0.8802 0.2846 0.2325  3 Fe 2.02-2.21
F 0.3843 0.2354 0.2933  3 Fe 2.01-2.20
F 0.1180 0.7116 0.7675  3 Fe 2.02-2.22
F 0.6168 0.7650 0.7065  3 Fe 2.02-2.20
F 0.7507 0.0334 0.9599  3 Fe 2.13-2.39
F 0.7553 0.0565 0.5265  3 Fe 2.14-2.32
F 0.7589 0.4611 0.5387  4 Fe 2.18-2.30
F 0.7392 0.4735 0.9437  3 Fe 2.13-2.33
F 0.2527 0.5265 0.0619  3 Fe 2.13-2.32
F 0.2545 0.5392 0.4642  4 Fe 2.21-2.30
F 0.2488 0.9669 0.0380  3 Fe 2.14-2.39
F 0.2355 0.9459 0.4710  4 Fe 2.13-2.37